Record 1
12
Lattice="4.313 0.000 0.000 -2.157 3.735 0.000 0.000 0.000 7.100" Properties=species:S:1:pos:R:3 comment="meta-GGA r2SCAN Be2Cr, relaxed" energy_ev_per_atom=-8.180 spacegroup="P6_3/mmc, No. 194" pbc="T T T"
Be 0.000 0.000 0.000
Be 0.000 0.000 3.550
Be 0.000 1.258 1.775
Be -1.067 3.107 1.775
Be 1.089 0.629 5.325
Be 1.067 3.107 1.775
Be 3.224 0.629 5.325
Be 2.157 2.478 5.325
Cr 0.000 2.490 4.007
Cr 0.000 2.490 6.642
Cr 2.157 1.245 0.457
Cr 2.157 1.245 3.092

=====

Record 2
13
Lattice="4.162 -3.618 0.000 4.162 3.618 0.000 -2.038 0.000 3.587" Properties=species:S:1:pos:R:3 comment="meta-GGA r2SCAN Be12Cr, relaxed" energy_ev_per_atom=-5.220 spacegroup="C2/m, No. 12" pbc="T T T"
Be 2.081 1.809 0.000
Be 1.062 1.809 1.793
Be -0.078 0.000 2.340
Be 4.162 2.526 0.000
Be 1.802 0.000 1.026
Be 3.143 1.538 1.793
Be 2.081 -1.809 0.000
Be 1.062 -1.809 1.793
Be 3.143 -1.538 1.793
Be 4.483 0.000 2.560
Be 4.162 -2.526 0.000
Be 6.363 0.000 1.246
Cr 4.162 0.000 0.000

=====

Record 3
24
Lattice="4.891 0.000 0.000 0.000 8.481 0.000 -4.135 0.000 7.755" Properties=species:S:1:pos:R:3 comment="meta-GGA r2SCAN BeCrO4, relaxed" energy_ev_per_atom=-9.318 spacegroup="P2_1/c, No. 14" pbc="T T T"
Be -0.505 0.985 1.847
Be -2.572 3.255 5.725
Be 3.329 5.226 2.030
Be 1.262 7.496 5.908
Cr -1.302 5.884 5.072
Cr 0.765 6.837 1.195
Cr -0.009 1.644 6.560
Cr 2.059 2.597 2.683
O -0.280 5.574 1.095
O -2.348 7.148 4.973
O -1.041 5.268 3.576
O -3.108 7.453 7.454
O -1.958 4.721 6.037
O 0.110 8.001 2.159
O 0.631 2.104 2.035
O -1.436 2.136 5.913
O 2.193 6.345 1.842
O 0.125 6.377 5.720
O 0.647 0.480 5.596
O 2.714 3.760 1.718
O 3.865 1.028 0.301
O 1.797 3.213 4.179
O 3.104 1.333 2.782
O 1.037 2.907 6.660

=====

Record 4
10
Lattice="5.071 0.000 0.000 0.000 5.913 0.000 -2.524 0.000 7.387" Properties=species:S:1:pos:R:3 comment="meta-GGA r2SCAN CsBeH3, relaxed" energy_ev_per_atom=-8.134 spacegroup="P2_1/m, No. 11" pbc="T T T"
Cs 0.243 1.478 1.981
Cs 2.304 4.435 5.406
Be -0.664 1.478 5.458
Be 3.210 4.435 1.929
H -1.733 1.478 6.365
H -0.161 0.268 4.962
H -0.161 2.688 4.962
H 2.707 3.225 2.425
H 2.707 5.645 2.425
H 4.280 4.435 1.022

=====

Record 5
12
Lattice="3.626 -2.093 0.000 3.626 2.093 0.000 -2.419 0.000 6.837" Properties=species:S:1:pos:R:3 comment="meta-GGA r2SCAN Be3Cu, relaxed" energy_ev_per_atom=-6.081 spacegroup="Cm, No. 8" pbc="T T T"
Be 0.000 0.000 0.000
Be -0.002 0.000 3.842
Be 1.803 1.047 5.118
Be 1.211 0.000 1.722
Be 3.025 1.047 1.725
Be 2.417 0.000 3.421
Be 1.803 -1.047 5.118
Be 3.619 0.000 5.122
Be 3.025 -1.047 1.725
Cu -0.004 0.000 6.350
Cu 4.834 0.000 0.435
Cu 4.833 0.000 3.036

=====

Record 6
4
Lattice="0.000 2.598 2.598 2.598 0.000 2.598 2.598 2.598 0.000" Properties=species:S:1:pos:R:3 comment="meta-GGA r2SCAN Be3Cu, relaxed" energy_ev_per_atom=-6.029 spacegroup="Fm-3m, No. 225" pbc="T T T"
Be 0.000 0.000 0.000
Be 1.299 1.299 1.299
Be 3.897 3.897 3.897
Cu 2.598 2.598 2.598

=====

Record 7
6
Lattice="0.000 2.982 2.982 2.982 0.000 2.982 2.982 2.982 0.000" Properties=species:S:1:pos:R:3 comment="meta-GGA r2SCAN Be2Cu, relaxed" energy_ev_per_atom=-6.655 spacegroup="Fd-3m, No. 227" pbc="T T T"
Be 0.000 0.000 0.000
Be 1.491 1.491 0.000
Be 1.491 0.000 1.491
Be 0.000 1.491 1.491
Cu 2.236 2.236 2.236
Cu 3.727 3.727 3.727

=====

Record 8
4
Lattice="0.000 2.735 2.735 2.735 0.000 2.735 2.735 2.735 0.000" Properties=species:S:1:pos:R:3 comment="meta-GGA r2SCAN Be2CuIr, relaxed" energy_ev_per_atom=-18.401 spacegroup="Fm-3m, No. 225" pbc="T T T"
Be 1.368 1.368 1.368
Be 4.103 4.103 4.103
Cu 0.000 0.000 0.000
Ir 2.735 2.735 2.735

=====

Record 9
29
Lattice="0.000 5.407 5.407 5.407 0.000 5.407 5.407 5.407 0.000" Properties=species:S:1:pos:R:3 comment="meta-GGA r2SCAN Be15Nb6Cu8, relaxed" energy_ev_per_atom=-10.573 spacegroup="Fm-3m, No. 225" pbc="T T T"
Be 0.000 0.000 0.000
Be 2.703 2.703 0.000
Be 2.703 0.000 2.703
Be 5.407 2.703 2.703
Be 3.528 1.878 1.878
Be 1.878 3.528 1.878
Be 1.878 1.878 3.528
Be 3.528 3.528 3.528
Be 0.000 2.703 2.703
Be 2.703 5.407 2.703
Be 2.703 2.703 5.407
Be 7.285 7.285 7.285
Be 8.935 8.935 7.285
Be 8.935 7.285 8.935
Be 7.285 8.935 8.935
Nb 5.407 5.407 3.315
Nb 5.407 3.315 5.407
Nb 7.498 5.407 5.407
Nb 3.315 5.407 5.407
Nb 5.407 7.498 5.407
Nb 5.407 5.407 7.498
Cu 1.330 1.330 1.330
Cu 4.077 4.077 1.330
Cu 4.077 1.330 4.077
Cu 9.484 6.736 6.736
Cu 1.330 4.077 4.077
Cu 6.736 9.484 6.736
Cu 6.736 6.736 9.484
Cu 9.484 9.484 9.484

=====

Record 10
4
Lattice="0.000 2.764 2.764 2.764 0.000 2.764 2.764 2.764 0.000" Properties=species:S:1:pos:R:3 comment="meta-GGA r2SCAN Be2CuPt, relaxed" energy_ev_per_atom=-18.249 spacegroup="Fm-3m, No. 225" pbc="T T T"
Be 1.382 1.382 1.382
Be 4.147 4.147 4.147
Cu 0.000 0.000 0.000
Pt 2.764 2.764 2.764

=====

Record 11
4
Lattice="0.000 2.719 2.719 2.719 0.000 2.719 2.719 2.719 0.000" Properties=species:S:1:pos:R:3 comment="meta-GGA r2SCAN Be2CuRh, relaxed" energy_ev_per_atom=-11.359 spacegroup="Fm-3m, No. 225" pbc="T T T"
Be 1.359 1.359 1.359
Be 4.078 4.078 4.078
Cu 0.000 0.000 0.000
Rh 2.719 2.719 2.719

=====

Record 12
4
Lattice="0.000 2.713 2.713 2.713 0.000 2.713 2.713 2.713 0.000" Properties=species:S:1:pos:R:3 comment="meta-GGA r2SCAN Be2CuRu, relaxed" energy_ev_per_atom=-11.491 spacegroup="Fm-3m, No. 225" pbc="T T T"
Be 1.357 1.357 1.357
Be 4.070 4.070 4.070
Cu 0.000 0.000 0.000
Ru 2.713 2.713 2.713

=====

Calculated V, 9.5; 8.3; 13.4; 22.1; 8.6; 8.8; 8.8; 10.2; 10.9; 10.6; 10.1; 10.0 Å³/atom (same order as the records).